[1]
The following is a PBE+U calculation of V3H2O8 after structural relaxation, from the Materials Project database.

a b c (Å): 9.3477 3.7241 17.0272
angles (deg): 88.51 90.00 90.00
Fractional coordinates of all 52 atoms:
V 0.3768 0.2515 0.4525
V 0.1232 0.2515 0.9525
V 0.6232 0.7485 0.5475
V 0.8768 0.7485 0.0475
V 0.4414 0.2279 0.6550
V 0.0586 0.2279 0.1550
V 0.5586 0.7721 0.3450
V 0.9414 0.7721 0.8450
V 0.4069 0.2498 0.0500
V 0.0931 0.2498 0.5500
V 0.5931 0.7502 0.9500
V 0.9069 0.7502 0.4500
H 0.2215 0.0156 0.7473
H 0.2785 0.0156 0.2473
H 0.7785 0.9844 0.2527
H 0.7215 0.9844 0.7527
H 0.6198 0.4452 0.7470
H 0.8802 0.4452 0.2470
H 0.3802 0.5548 0.2530
H 0.1198 0.5548 0.7530
O 0.5706 0.2439 0.5436
O 0.9294 0.2439 0.0436
O 0.4294 0.7561 0.4564
O 0.0706 0.7561 0.9564
O 0.2263 0.2570 0.4051
O 0.2737 0.2570 0.9051
O 0.7737 0.7430 0.5949
O 0.7263 0.7430 0.0949
O 0.5204 0.2697 0.3721
O 0.9796 0.2697 0.8721
O 0.4796 0.7303 0.6279
O 0.0204 0.7303 0.1279
O 0.2906 0.2477 0.5562
O 0.2094 0.2477 0.0562
O 0.7094 0.7523 0.4438
O 0.7906 0.7523 0.9438
O 0.3009 0.1817 0.7203
O 0.1991 0.1817 0.2203
O 0.6991 0.8183 0.2797
O 0.8009 0.8183 0.7797
O 0.6065 0.2172 0.7208
O 0.8935 0.2172 0.2208
O 0.3935 0.7828 0.2792
O 0.1065 0.7828 0.7792
O 0.5750 0.2502 0.9794
O 0.9250 0.2502 0.4794
O 0.4250 0.7498 0.0206
O 0.0750 0.7498 0.5206
O 0.4608 0.2484 0.1391
O 0.0392 0.2484 0.6391
O 0.5392 0.7516 0.8609
O 0.9608 0.7516 0.3609

Values from the calculation:
Total magnetization (Bohr magnetons per cell): 3.73
ΔE to the lowest computed polymorph (meV/atom): 0.0

=====

[2]
The following is a PBE+U calculation of Li4Ti3Ni3Te2O16 after structural relaxation, from the Materials Project database.

a b c (Å): 5.9837 10.0538 10.3277
angles (deg): 89.58 90.00 90.00
Fractional coordinates of all 56 atoms:
Li 0.5000 0.9092 0.1625
Li 0.0000 0.9092 0.6625
Li 0.5000 0.9835 0.4973
Li 0.0000 0.9835 0.9973
Li 0.0000 0.4909 0.0035
Li 0.5000 0.4909 0.5035
Li 0.0000 0.4037 0.3314
Li 0.5000 0.4037 0.8314
Ti 0.0000 0.7241 0.1728
Ti 0.5000 0.7241 0.6728
Ti 0.7392 0.2185 0.0928
Ti 0.2392 0.2185 0.5928
Ti 0.2609 0.2185 0.0928
Ti 0.7609 0.2185 0.5928
Ni 0.0000 0.2018 0.8285
Ni 0.2427 0.7205 0.4145
Ni 0.7573 0.7205 0.4145
Ni 0.5000 0.2018 0.3285
Ni 0.7427 0.7205 0.9145
Ni 0.2573 0.7205 0.9145
Te 0.5000 0.5106 0.1744
Te 0.0000 0.5106 0.6744
Te 0.0000 0.9853 0.3372
Te 0.5000 0.9853 0.8372
O 0.5000 0.3165 0.0106
O 0.0000 0.3165 0.5106
O 0.5000 0.1037 0.1554
O 0.0000 0.1037 0.6554
O 0.0000 0.2936 0.0021
O 0.5000 0.2936 0.5021
O 0.0000 0.8032 0.0065
O 0.5000 0.8032 0.5066
O 0.0000 0.0881 0.1688
O 0.5000 0.0881 0.6688
O 0.5000 0.5971 0.3407
O 0.0000 0.5970 0.8407
O 0.0000 0.6109 0.3215
O 0.5000 0.6109 0.8215
O 0.0000 0.8554 0.4789
O 0.5000 0.8554 0.9789
O 0.7511 0.6124 0.0927
O 0.2511 0.6124 0.5927
O 0.2489 0.6124 0.0927
O 0.7489 0.6124 0.5927
O 0.7462 0.3225 0.2348
O 0.2462 0.3225 0.7348
O 0.2538 0.3225 0.2348
O 0.7538 0.3225 0.7348
O 0.2149 0.8570 0.2543
O 0.7149 0.8570 0.7543
O 0.7851 0.8571 0.2543
O 0.2851 0.8570 0.7543
O 0.2460 0.0842 0.4148
O 0.7460 0.0842 0.9148
O 0.7540 0.0842 0.4148
O 0.2540 0.0842 0.9148

Values from the calculation:
Total magnetization (Bohr magnetons per cell): 0.00

=====

[3]
The following is a PBE+U calculation of Na2VPCO7 after structural relaxation, from the Materials Project database.

a b c (Å): 6.5567 10.3705 10.6219
angles (deg): 119.58 90.00 90.00
Fractional coordinates of all 48 atoms:
Na 0.4933 0.0063 0.2338
Na 0.4931 0.5058 0.7342
Na 0.0067 0.0063 0.2339
Na 0.0069 0.5058 0.7342
Na 0.5065 0.9928 0.7657
Na 0.5070 0.4937 0.2654
Na 0.9935 0.9928 0.7657
Na 0.9930 0.4937 0.2654
V 0.7500 0.7195 0.0707
V 0.2500 0.2804 0.9289
V 0.7500 0.2198 0.5709
V 0.2500 0.7802 0.4288
P 0.2500 0.1456 0.5704
P 0.2500 0.6454 0.0690
P 0.7500 0.8545 0.4302
P 0.7500 0.3546 0.9305
C 0.7500 0.3236 0.4038
C 0.7500 0.8219 0.9029
C 0.2500 0.6769 0.5963
C 0.2500 0.1780 0.0969
O 0.2500 0.1290 0.1836
O 0.2500 0.6294 0.6842
O 0.7500 0.8712 0.8163
O 0.7500 0.3701 0.3151
O 0.7500 0.4077 0.5449
O 0.7500 0.9051 0.0449
O 0.2500 0.5932 0.4548
O 0.2500 0.0948 0.9549
O 0.7500 0.1785 0.3619
O 0.7500 0.6777 0.8601
O 0.2500 0.8214 0.6383
O 0.2500 0.3223 0.1396
O 0.7500 0.8647 0.2884
O 0.7500 0.3631 0.7880
O 0.2500 0.1340 0.7113
O 0.2500 0.6371 0.2118
O 0.2500 0.9878 0.4347
O 0.2500 0.4859 0.9356
O 0.7500 0.0126 0.5650
O 0.7500 0.5141 0.0642
O 0.0586 0.2338 0.5701
O 0.0587 0.7308 0.0644
O 0.4414 0.2338 0.5701
O 0.4412 0.7308 0.0644
O 0.5587 0.7675 0.4326
O 0.5587 0.2693 0.9352
O 0.9413 0.7675 0.4326
O 0.9413 0.2693 0.9352

Values from the calculation:
Total magnetization (Bohr magnetons per cell): 8.00
ΔE to the lowest computed polymorph (meV/atom): 0.0

=====

[4]
The following is a PBE+U calculation of Sr2YGaW2O7 after structural relaxation, from the Materials Project database.

a b c (Å): 12.0441 12.0441 12.0441
angles (deg): 152.22 150.86 40.69
Fractional coordinates of all 26 atoms:
Sr 0.3791 0.8134 0.5108
Sr 0.6209 0.1317 0.4343
Sr 0.8026 0.3134 0.4343
Sr 0.1974 0.6317 0.5108
Y 0.0000 0.4998 0.4998
Y 0.5000 0.9998 0.4998
Ga 0.8299 0.7133 0.0432
Ga 0.1701 0.2133 0.8834
W 0.5740 0.5710 0.0019
W 0.9309 0.9279 0.0019
W 0.0691 0.0710 0.9970
W 0.4260 0.4279 0.9970
O 0.7377 0.6098 0.4943
O 0.8982 0.3867 0.7850
O 0.6155 0.1098 0.8721
O 0.2325 0.2018 0.0784
O 0.7572 0.8990 0.5051
O 0.8939 0.3990 0.1419
O 0.1018 0.8867 0.4885
O 0.3845 0.2566 0.4943
O 0.2623 0.7566 0.8721
O 0.6234 0.7018 0.9692
O 0.7675 0.8458 0.9692
O 0.3766 0.3458 0.0784
O 0.2428 0.7480 0.1419
O 0.1061 0.2480 0.5051

Values from the calculation:
Total magnetization (Bohr magnetons per cell): 12.00

=====

[5]
The following is a PBE+U calculation of K2BaNa2Ti4Si8W4O28 after structural relaxation, from the Materials Project database.

a b c (Å): 10.1232 10.1232 8.0578
angles (deg): 70.29 70.29 90.07
Fractional coordinates of all 49 atoms:
K 0.2087 0.2087 0.9667
K 0.0183 0.0183 0.6198
Ba 0.5597 0.5597 0.5768
Na 0.7556 0.2547 0.2533
Na 0.2547 0.7556 0.2533
Ti 0.8587 0.3953 0.7709
Ti 0.3953 0.8587 0.7709
Ti 0.1396 0.6266 0.7689
Ti 0.6266 0.1396 0.7689
Si 0.9454 0.7277 0.4888
Si 0.7277 0.9454 0.4888
Si 0.2020 0.4095 0.5359
Si 0.4095 0.2020 0.5359
Si 0.0484 0.8273 0.0390
Si 0.8273 0.0484 0.0390
Si 0.3159 0.5295 0.0895
Si 0.5295 0.3159 0.0895
W 0.9479 0.4372 0.3264
W 0.4372 0.9479 0.3264
W 0.8054 0.5887 0.0247
W 0.5887 0.8054 0.0247
O 0.2917 0.5017 0.3119
O 0.5017 0.2917 0.3119
O 0.8760 0.8760 0.4859
O 0.2459 0.2459 0.5828
O 0.2446 0.4809 0.6655
O 0.4809 0.2446 0.6655
O 0.0844 0.7338 0.5443
O 0.7338 0.0844 0.5443
O 0.9658 0.4984 0.8619
O 0.4984 0.9658 0.8619
O 0.6827 0.4169 0.9833
O 0.4169 0.6827 0.9833
O 0.0366 0.3947 0.5575
O 0.3947 0.0366 0.5575
O 0.4066 0.4066 0.0227
O 0.9739 0.9739 0.0156
O 0.1655 0.5235 0.0581
O 0.5235 0.1655 0.0581
O 0.8780 0.2168 0.9509
O 0.2168 0.8780 0.9509
O 0.7565 0.3178 0.6512
O 0.3178 0.7565 0.6512
O 0.0081 0.7349 0.2648
O 0.7349 0.0081 0.2648
O 0.9983 0.7393 0.9296
O 0.7393 0.9983 0.9296
O 0.8270 0.5890 0.6016
O 0.5890 0.8270 0.6016

Values from the calculation:
Total magnetization (Bohr magnetons per cell): 18.00

=====

[6]
The following is a PBE+U calculation of MgMn8O13F3 after structural relaxation, from the Materials Project database.

a b c (Å): 6.8710 5.6855 6.9021
angles (deg): 88.23 95.11 87.51
Fractional coordinates of all 25 atoms:
Mg 0.8754 0.5969 0.1258
Mn 0.3654 0.3495 0.1227
Mn 0.1515 0.7084 0.4081
Mn 0.8576 0.1247 0.1144
Mn 0.3928 0.1455 0.6354
Mn 0.1409 0.8664 0.8762
Mn 0.6260 0.8718 0.3861
Mn 0.5897 0.6182 0.8430
Mn 0.8915 0.3619 0.6388
O 0.1372 0.1089 0.0720
O 0.1680 0.6250 0.1121
O 0.5737 0.6012 0.1319
O 0.0825 0.6438 0.6625
O 0.3637 0.9185 0.4349
O 0.1074 0.1232 0.6743
O 0.5875 0.1091 0.1752
O 0.4201 0.8893 0.8213
O 0.6618 0.1117 0.5768
O 0.8915 0.8604 0.3097
O 0.4145 0.3811 0.8297
O 0.6716 0.6060 0.5855
O 0.8124 0.3765 0.9102
F 0.3306 0.3932 0.4269
F 0.9327 0.3737 0.3455
F 0.8241 0.8424 0.9111

Values from the calculation:
Total magnetization (Bohr magnetons per cell): 29.01
ΔE to the lowest computed polymorph (meV/atom): 22.9

=====

[7]
The following is a PBE+U calculation of Mo2P3O11 after structural relaxation, from the Materials Project database.

a b c (Å): 7.4850 7.4850 9.1501
angles (deg): 70.43 109.57 108.08
Fractional coordinates of all 32 atoms:
Mo 0.8856 0.6362 0.0392
Mo 0.6362 0.8856 0.4608
Mo 0.3634 0.1142 0.5392
Mo 0.1142 0.3634 0.9608
P 0.4570 0.6719 0.7865
P 0.3279 0.5428 0.2865
P 0.6719 0.4570 0.7135
P 0.5428 0.3279 0.2135
P 0.0390 0.0390 0.7500
P 0.9606 0.9606 0.2500
O 0.6128 0.2577 0.6828
O 0.9785 0.1367 0.1046
O 0.9462 0.7733 0.2069
O 0.8629 0.0212 0.6046
O 0.0212 0.8629 0.8954
O 0.0534 0.2262 0.7932
O 0.1367 0.9785 0.3954
O 0.2577 0.6128 0.8172
O 0.2262 0.0534 0.7068
O 0.1580 0.5340 0.1294
O 0.4657 0.8418 0.6295
O 0.2774 0.3748 0.4271
O 0.6251 0.7224 0.9272
O 0.7733 0.9462 0.2931
O 0.3868 0.7421 0.3170
O 0.5111 0.5111 0.2500
O 0.4887 0.4887 0.7500
O 0.3748 0.2774 0.0729
O 0.7224 0.6251 0.5728
O 0.5340 0.1580 0.3706
O 0.8418 0.4657 0.8705
O 0.7421 0.3868 0.1830

Values from the calculation:
ΔE to the lowest computed polymorph (meV/atom): 15.6

=====

[8]
The following is a PBE+U calculation of KRbMnF6 after structural relaxation, from the Materials Project database.

a b c (Å): 6.0416 6.0416 6.0416
angles (deg): 60.00 60.00 60.00
Fractional coordinates of all 9 atoms:
K 0.2500 0.2500 0.2500
Rb 0.7500 0.7500 0.7500
Mn 0.0000 0.0000 0.0000
F 0.7835 0.7835 0.2165
F 0.2165 0.7835 0.2165
F 0.7835 0.2165 0.2165
F 0.2165 0.2165 0.7835
F 0.7835 0.2165 0.7835
F 0.2165 0.7835 0.7835

Values from the calculation:
Total magnetization (Bohr magnetons per cell): 3.00

=====

In the order shown, the computed V values come out to 11.40 11.09 13.09 15.22 14.81 10.73 13.86 17.33 A^3/atom.
In the order shown, the computed calculated formation energy values come out to -2041 -2287 -2435 -2353 -2549 -2039 -2443 -2893 meV per atom.